# ZrScVNi3

A relaxed ZrScVNi3 crystal (PBE, the Materials Project database).

a b c (Å): 4.8981 4.8981 4.8981
angles (deg): 62.47 62.47 62.47
Atoms (fractional coordinates):
Ni: 0.6249 0.6249 0.1262
Ni: 0.6249 0.1262 0.6249
Ni: 0.1262 0.6249 0.6249
Sc: 0.2536 0.2536 0.2536
Zr: 0.9944 0.9944 0.9944
V: 0.6261 0.6261 0.6261

Computed properties:
As for the crystal system: trigonal. The calculated total energy is -7.22 eV per atom. The mass density comes out at 6.88 g cm⁻³. As for the formation energy: -0.34 eV/atom.



# Dy

A relaxed Dy crystal (PBE, the Materials Project database).

a b c (Å): 8.8154 8.8154 8.8154
angles (deg): 23.38 23.38 23.38
Atoms (fractional coordinates):
Dy: 0.7779 0.7779 0.7779
Dy: 0.0000 0.0000 0.0000
Dy: 0.2221 0.2221 0.2221

Computed properties:
As for the crystal system: trigonal. The calculated total energy is -4.61 eV per atom. The mass density comes out at 8.55 g cm⁻³. As for the formation energy: 0.00 eV/atom.



# SrH2

A relaxed SrH2 crystal (PBE, the Materials Project database).

a b c (Å): 4.1122 4.1122 5.7468
angles (deg): 90.00 90.00 120.00
Atoms (fractional coordinates):
Sr: 0.6667 0.3333 0.7500
H: 0.6667 0.3333 0.2500
H: 0.0000 0.0000 0.5000
H: 0.0000 0.0000 0.0000
H: 0.3333 0.6667 0.7500
Sr: 0.3333 0.6667 0.2500

Computed properties:
For the corrected total energy (MP2020 scheme), the calculation gives -20.6 eV/cell. As for the crystal system: hexagonal. The calculated total energy is -3.31 eV per atom. The mass density comes out at 3.54 g cm⁻³. As for the formation energy: -0.61 eV/atom.



# SnH21C7S4NO6F2

A relaxed SnH21C7S4NO6F2 crystal (PBE, the Materials Project database).

a b c (Å): 7.8232 10.2561 13.9804
angles (deg): 96.98 102.62 108.86
Atoms (fractional coordinates):
N: 0.8051 0.7619 0.7508
O: 0.6718 0.2038 0.6280
H: 0.2911 0.6461 0.8520
H: 0.5161 0.6967 0.8270
F: 0.0818 0.9751 0.7516
O: 0.2420 0.2116 0.4326
C: 0.9482 0.3605 0.5616
S: 0.0277 0.8172 0.7780
S: 0.3200 0.2884 0.3630
Sn: 0.3769 0.7461 0.2168
O: 0.8920 0.2541 0.2843
F: 0.3130 0.4442 0.3949
O: 0.5527 0.3266 0.9312
C: 0.3817 0.9464 0.1831
H: 0.3391 0.9359 0.1015
H: 0.5580 0.4536 0.1156
H: 0.0601 0.3518 0.5284
H: 0.8361 0.3759 0.5070
F: 0.9182 0.0249 0.2484
O: 0.7580 0.7884 0.5674
C: 0.5640 0.3494 0.1222
H: 0.9399 0.6482 0.4716
H: 0.6449 0.7490 0.3776
C: 0.2395 0.9170 0.5212
H: 0.7614 0.6482 0.0101
H: 0.7089 0.3539 0.1480
C: 0.7707 0.7584 0.0203
H: 0.7429 0.7717 0.2731
H: 0.9262 0.4500 0.9210
S: 0.6800 0.7116 0.6370
H: 0.1639 0.6241 0.4930
H: 0.9987 0.3971 0.8147
H: 0.5972 0.6002 0.2818
H: 0.1508 0.1832 0.9031
C: 0.3788 0.2869 0.7028
H: 0.8785 0.5190 0.8107
H: 0.3290 0.8761 0.5713
C: 0.4360 0.6506 0.8778
Sn: 0.6231 0.2539 0.7832
H: 0.0013 0.6029 0.1853
H: 0.6710 0.1239 0.4287
O: 0.1005 0.8460 0.8852
S: 0.8498 0.1979 0.6000
H: 0.1215 0.4810 0.1893
H: 0.4028 0.3998 0.7182
H: 0.2826 0.9787 0.2157
H: 0.8492 0.8168 0.0969
H: 0.8368 0.8108 0.9667
H: 0.9931 0.5540 0.3717
H: 0.6820 0.9779 0.4884
C: 0.1108 0.5739 0.1610
O: 0.4881 0.6850 0.6364
H: 0.1188 0.9184 0.5487
H: 0.1632 0.1892 0.0333
H: 0.4839 0.3033 0.1730
S: 0.4620 0.2366 0.0003
F: 0.6870 0.5558 0.6051
H: 0.5226 0.0269 0.2146
N: 0.1949 0.2381 0.2492
S: 0.1502 0.8021 0.4000
H: 0.0069 0.4460 0.6283
C: 0.7605 0.0830 0.4788
O: 0.4473 0.6734 0.0688
O: 0.8995 0.1540 0.1148
H: 0.4774 0.9731 0.7854
O: 0.1080 0.7459 0.7157
S: 0.9723 0.1828 0.2220
C: 0.8892 0.4261 0.8390
C: 0.2293 0.2416 0.9797
H: 0.3551 0.2510 0.6224
C: 0.0518 0.6395 0.4384
S: 0.5380 0.7634 0.9997
C: 0.6183 0.0536 0.8169
H: 0.8812 0.0816 0.4513
H: 0.6609 0.0641 0.8985
C: 0.6212 0.7131 0.2972
H: 0.3180 0.0221 0.5116
H: 0.2386 0.3518 0.9899
H: 0.2571 0.2283 0.7269
H: 0.7174 0.0213 0.7843
O: 0.3282 0.7962 0.3720
H: 0.4420 0.5464 0.8844
H: 0.0738 0.5500 0.0790
O: 0.5119 0.3150 0.3636

Computed properties:
For the corrected total energy (MP2020 scheme), the calculation gives -443.6 eV/cell. As for the crystal system: triclinic. The calculated total energy is -5.16 eV per atom. The mass density comes out at 1.64 g cm⁻³. As for the formation energy: -0.56 eV/atom.



# MgSn2

A relaxed MgSn2 crystal (PBE, the Materials Project database).

a b c (Å): 9.0433 9.0433 5.2117
angles (deg): 90.00 90.00 158.70
Atoms (fractional coordinates):
Sn: 0.0022 0.9978 0.0000
Mg: 0.1115 0.8885 0.5000
Mg: 0.7774 0.2226 0.5000
Sn: 0.6673 0.3327 0.0000
Sn: 0.4449 0.5551 0.5000
Sn: 0.3301 0.6699 0.0000

Computed properties:
As for the crystal system: orthorhombic. The calculated total energy is -3.19 eV per atom. The mass density comes out at 5.62 g cm⁻³. As for the formation energy: 0.01 eV/atom.



# Zr5Se8

A relaxed Zr5Se8 crystal (PBE, the Materials Project database).

a b c (Å): 3.8352 3.8352 25.8720
angles (deg): 90.00 94.25 60.00
Atoms (fractional coordinates):
Se: 0.3758 0.8121 0.5637
Zr: 0.2490 0.3755 0.8736
Se: 0.1246 0.9377 0.1869
Se: 0.8757 0.5622 0.3135
Se: 0.6242 0.1879 0.4363
Se: 0.6250 0.6875 0.9375
Zr: 0.2500 0.8750 0.3750
Se: 0.1243 0.4378 0.6865
Se: 0.8754 0.0623 0.8131
Zr: 0.7500 0.1250 0.6250
Zr: 0.7510 0.6245 0.1264
Se: 0.3750 0.3125 0.0625
Zr: 0.0000 0.0000 0.0000

Computed properties:
For the corrected total energy (MP2020 scheme), the calculation gives -90.5 eV/cell. As for the crystal system: trigonal. The calculated total energy is -6.67 eV per atom. The mass density comes out at 5.50 g cm⁻³. As for the formation energy: -1.52 eV/atom.



# Sr8Ga7

A relaxed Sr8Ga7 crystal (PBE, the Materials Project database).

a b c (Å): 12.5280 12.5280 12.5280
angles (deg): 90.00 90.00 90.00
Atoms (fractional coordinates):
Ga: 0.4335 0.4335 0.4335
Sr: 0.6978 0.4418 0.5040
Sr: 0.1978 0.0582 0.4960
Sr: 0.3022 0.9418 0.9960
Ga: 0.0665 0.5665 0.9335
Sr: 0.9960 0.3022 0.9418
Sr: 0.5040 0.6978 0.4418
Ga: 0.4217 0.2522 0.8143
Ga: 0.7478 0.3143 0.0783
Ga: 0.9263 0.2465 0.6935
Sr: 0.3117 0.6883 0.1883
Ga: 0.4263 0.2535 0.3065
Sr: 0.7051 0.9371 0.5222
Ga: 0.6857 0.5783 0.7522
Ga: 0.1935 0.5737 0.7535
Ga: 0.0737 0.7465 0.8065
Sr: 0.4371 0.9778 0.2949
Ga: 0.9335 0.0665 0.5665
Sr: 0.3139 0.8139 0.6861
Ga: 0.1857 0.9217 0.2478
Sr: 0.6883 0.1883 0.3117
Ga: 0.2522 0.8143 0.4217
Sr: 0.4418 0.5040 0.6978
Sr: 0.0040 0.8022 0.5582
Sr: 0.2051 0.5629 0.4778
Ga: 0.2478 0.1857 0.9217
Sr: 0.8117 0.8117 0.8117
Ga: 0.7522 0.6857 0.5783
Sr: 0.7949 0.0629 0.0222
Sr: 0.5629 0.4778 0.2051
Ga: 0.7465 0.8065 0.0737
Sr: 0.5222 0.7051 0.9371
Ga: 0.6935 0.9263 0.2465
Sr: 0.9418 0.9960 0.3022
Ga: 0.5665 0.9335 0.0665
Sr: 0.9778 0.2949 0.4371
Ga: 0.3143 0.0783 0.7478
Ga: 0.0783 0.7478 0.3143
Ga: 0.7535 0.1935 0.5737
Sr: 0.5582 0.0040 0.8022
Ga: 0.8143 0.4217 0.2522
Sr: 0.8022 0.5582 0.0040
Sr: 0.1861 0.1861 0.1861
Sr: 0.0629 0.0222 0.7949
Sr: 0.4778 0.2051 0.5629
Sr: 0.8139 0.6861 0.3139
Ga: 0.3065 0.4263 0.2535
Sr: 0.4960 0.1978 0.0582
Ga: 0.2535 0.3065 0.4263
Sr: 0.0582 0.4960 0.1978
Sr: 0.1883 0.3117 0.6883
Sr: 0.2949 0.4371 0.9778
Sr: 0.9371 0.5222 0.7051
Ga: 0.5783 0.7522 0.6857
Sr: 0.6861 0.3139 0.8139
Sr: 0.0222 0.7949 0.0629
Ga: 0.5737 0.7535 0.1935
Ga: 0.2465 0.6935 0.9263
Ga: 0.8065 0.0737 0.7465
Ga: 0.9217 0.2478 0.1857

Computed properties:
As for the crystal system: cubic. The calculated total energy is -2.71 eV per atom. The mass density comes out at 4.02 g cm⁻³. As for the formation energy: -0.40 eV/atom.



# PrSiPt

A relaxed PrSiPt crystal (PBE, the Materials Project database).

a b c (Å): 7.8532 7.8532 7.8532
angles (deg): 148.62 148.62 44.98
Atoms (fractional coordinates):
Pr: 0.7488 0.2488 0.5000
Pt: 0.3367 0.8367 0.5000
Pt: 0.5867 0.5867 0.0000
Si: 0.4185 0.4185 0.0000
Pr: 0.9988 0.9988 0.0000
Si: 0.1685 0.6685 0.5000

Computed properties:
As for the crystal system: tetragonal. The calculated total energy is -6.54 eV per atom. The mass density comes out at 9.23 g cm⁻³. As for the formation energy: -1.11 eV/atom.



# Sb2C4O

A relaxed Sb2C4O crystal (PBE, the Materials Project database).

a b c (Å): 4.1835 9.2447 15.0969
angles (deg): 90.00 90.00 90.00
Atoms (fractional coordinates):
Sb: 0.1128 0.1800 0.4261
C: 0.1652 0.5205 0.3632
C: 0.6445 0.2465 0.9584
C: 0.5254 0.7522 0.4586
Sb: 0.8872 0.6800 0.0739
C: 0.3711 0.6114 0.8723
C: 0.3348 0.4795 0.8632
C: 0.6652 0.9795 0.6368
C: 0.8348 0.0205 0.1368
Sb: 0.6128 0.3200 0.5739
Sb: 0.3099 0.2484 0.8437
C: 0.9746 0.2478 0.9586
O: 0.8950 0.5559 0.1724
C: 0.6289 0.1114 0.6277
Sb: 0.1901 0.7516 0.3437
C: 0.8555 0.7535 0.4584
C: 0.0254 0.7478 0.5414
C: 0.4746 0.2522 0.0414
O: 0.3950 0.9441 0.8276
C: 0.1289 0.3886 0.3723
C: 0.8711 0.8886 0.1277
Sb: 0.3872 0.8200 0.9261
Sb: 0.6901 0.7484 0.6563
C: 0.1445 0.2535 0.0416
O: 0.1050 0.0559 0.3276
Sb: 0.8099 0.2516 0.1563
C: 0.3555 0.7465 0.5416
O: 0.6050 0.4441 0.6724

Computed properties:
For the corrected total energy (MP2020 scheme), the calculation gives -183.3 eV/cell. As for the crystal system: orthorhombic. The calculated total energy is -6.45 eV per atom. The mass density comes out at 3.50 g cm⁻³. As for the formation energy: 0.61 eV/atom.



# KHgBr3O

A relaxed KHgBr3O crystal (PBE, the Materials Project database).

a b c (Å): 8.2540 8.2540 11.3405
angles (deg): 90.00 90.00 147.93
Atoms (fractional coordinates):
Br: 0.8594 0.1406 0.6358
Br: 0.4350 0.5650 0.3014
Hg: 0.0171 0.9829 0.6208
Br: 0.1406 0.8594 0.1358
K: 0.7405 0.2595 0.3241
O: 0.3227 0.6773 0.3137
Br: 0.8378 0.1622 0.0319
O: 0.6773 0.3227 0.8137
Hg: 0.9829 0.0171 0.1208
Br: 0.5650 0.4350 0.8014
Br: 0.1622 0.8378 0.5319
K: 0.2595 0.7405 0.8241

Computed properties:
For the corrected total energy (MP2020 scheme), the calculation gives -31.9 eV/cell. As for the crystal system: orthorhombic. The calculated total energy is -2.54 eV per atom. The mass density comes out at 4.01 g cm⁻³. As for the formation energy: -0.78 eV/atom.



# UTe3Pb2O11

A relaxed UTe3Pb2O11 crystal (PBE, the Materials Project database).

a b c (Å): 13.5383 7.1910 13.5722
angles (deg): 59.73 90.00 90.00
Atoms (fractional coordinates):
O: 0.5267 0.2523 0.6160
O: 0.0362 0.9956 0.6328
O: 0.6543 0.7536 0.7378
O: 0.6799 0.8496 0.0612
O: 0.1543 0.2464 0.7622
O: 0.4638 0.9956 0.1328
Pb: 0.0527 0.3446 0.9333
O: 0.6048 0.4171 0.0544
Pb: 0.9473 0.6554 0.0667
O: 0.2020 0.4098 0.0521
Pb: 0.5069 0.6972 0.0616
O: 0.6266 0.0047 0.4553
Te: 0.7609 0.0225 0.4132
O: 0.1506 0.0664 0.2561
O: 0.6506 0.9336 0.2439
O: 0.4043 0.4864 0.7301
Te: 0.0181 0.9865 0.2421
O: 0.2772 0.5554 0.3247
Pb: 0.4931 0.3028 0.9384
O: 0.1799 0.1504 0.4388
Te: 0.2413 0.6637 0.4273
Pb: 0.4473 0.3446 0.4333
Te: 0.7413 0.3363 0.0727
O: 0.7020 0.5902 0.4479
O: 0.9043 0.5135 0.7699
O: 0.7868 0.2932 0.4083
O: 0.1048 0.5829 0.4456
O: 0.8494 0.9336 0.7439
Te: 0.2587 0.6637 0.9273
O: 0.2228 0.5554 0.8247
Pb: 0.5527 0.6554 0.5667
U: 0.2793 0.3662 0.7433
O: 0.3201 0.1504 0.9388
O: 0.0957 0.4864 0.2301
O: 0.9733 0.2523 0.1160
O: 0.5957 0.5135 0.2699
Te: 0.4819 0.9865 0.7421
O: 0.5362 0.0044 0.8672
O: 0.4733 0.7477 0.3840
O: 0.3457 0.2464 0.2622
O: 0.3734 0.9953 0.5447
Te: 0.2391 0.9775 0.5868
U: 0.2207 0.3662 0.2433
O: 0.8734 0.0047 0.9553
O: 0.7980 0.5902 0.9479
Te: 0.5181 0.0135 0.2579
Te: 0.9819 0.0135 0.7579
O: 0.3494 0.0664 0.7561
O: 0.8201 0.8496 0.5612
Te: 0.2609 0.9775 0.0868
Te: 0.7587 0.3363 0.5727
O: 0.7228 0.4446 0.6753
O: 0.2132 0.7068 0.5917
O: 0.9638 0.0044 0.3672
O: 0.8457 0.7536 0.2378
O: 0.7132 0.2932 0.9083
O: 0.2868 0.7068 0.0917
O: 0.7772 0.4446 0.1753
Pb: 0.0069 0.3028 0.4384
U: 0.7207 0.6338 0.2567
O: 0.8952 0.4171 0.5544
Te: 0.7391 0.0225 0.9132
O: 0.1266 0.9953 0.0447
O: 0.3952 0.5829 0.9456
O: 0.0267 0.7477 0.8840
O: 0.2980 0.4098 0.5521
U: 0.7793 0.6338 0.7567
Pb: 0.9931 0.6972 0.5616

Computed properties:
For the corrected total energy (MP2020 scheme), the calculation gives -469.7 eV/cell. As for the crystal system: monoclinic. The calculated total energy is -6.46 eV per atom. The mass density comes out at 7.05 g cm⁻³. As for the formation energy: -2.05 eV/atom.



# Nb5Ga13

A relaxed Nb5Ga13 crystal (PBE, the Materials Project database).

a b c (Å): 20.4896 20.4896 3.7907
angles (deg): 90.00 90.00 169.34
Atoms (fractional coordinates):
Ga: 0.3881 0.6119 0.0000
Nb: 0.8920 0.1080 0.5000
Ga: 0.0000 0.0000 0.5000
Ga: 0.4451 0.5549 0.5000
Nb: 0.1080 0.8920 0.5000
Ga: 0.6643 0.3357 0.5000
Nb: 0.5000 0.5000 0.0000
Ga: 0.6119 0.3881 0.0000
Ga: 0.5549 0.4451 0.5000
Nb: 0.2839 0.7161 0.0000
Ga: 0.0546 0.9454 0.0000
Ga: 0.3357 0.6643 0.5000
Ga: 0.1650 0.8350 0.0000
Ga: 0.9454 0.0546 0.0000
Nb: 0.7161 0.2839 0.0000
Ga: 0.2282 0.7718 0.5000
Ga: 0.8350 0.1650 0.0000
Ga: 0.7718 0.2282 0.5000

Computed properties:
As for the crystal system: orthorhombic. The calculated total energy is -5.24 eV per atom. The mass density comes out at 7.73 g cm⁻³. As for the formation energy: -0.24 eV/atom.